Below is a relaxed K2MoO3F4 crystal, with properties calculated at the PBE with a Hubbard U level.

```
K2MoO3F4
1.0
6.290 0.000 0.000
0.000 6.289 0.000
-1.610 0.000 18.318
K Mo O F
8 4 12 16
Cartesian
1.075 1.040 1.871
0.270 2.104 11.030
1.189 4.090 4.591
0.384 5.343 13.750
4.296 0.946 4.568
3.491 2.199 13.727
4.410 4.185 7.288
3.605 5.248 16.447
1.267 0.972 6.779
0.462 2.172 15.938
4.218 4.116 2.380
3.413 5.317 11.539
0.548 4.248 8.987
-0.257 5.184 18.146
0.937 1.108 8.488
0.133 2.037 17.647
2.112 0.199 11.613
2.917 2.945 2.454
1.763 3.344 15.864
2.567 6.089 6.705
4.547 4.252 0.671
3.742 5.181 9.830
4.936 1.104 0.172
4.132 2.040 9.331
-1.044 0.823 15.486
-0.239 2.321 6.327
-0.946 3.488 15.499
-0.141 5.945 6.340
1.387 1.136 4.687
0.583 2.009 13.846
1.608 0.580 15.830
2.413 2.565 6.671
2.267 3.724 11.647
3.072 5.709 2.488
4.097 4.280 4.472
3.292 5.153 13.631
4.821 0.344 11.978
5.626 2.801 2.819
4.919 3.968 11.991
5.724 5.465 2.832
```

Properties
VASP energy in eV per atom: -5.065

---

Below is a relaxed K2MoO4F4 crystal, with properties calculated at the PBE with a Hubbard U level.

```
K2MoO4F4
1.0
6.360 0.000 0.000
0.000 6.415 0.000
-1.762 0.000 18.484
K Mo O F
8 4 16 16
Cartesian
1.029 0.953 1.855
0.148 2.255 11.097
1.131 4.176 4.688
0.250 5.447 13.930
4.348 0.969 4.554
3.468 2.239 13.796
4.451 4.160 7.387
3.570 5.462 16.629
1.154 1.072 6.832
0.273 2.135 16.075
4.326 4.280 2.410
3.445 5.343 11.652
0.379 4.231 9.024
-0.502 5.392 18.266
0.714 1.161 8.481
-0.167 2.047 17.723
2.420 3.687 2.178
1.540 5.935 11.420
1.334 3.842 16.155
2.215 5.781 6.913
2.384 0.634 11.571
3.265 2.573 2.329
3.059 0.480 7.064
2.178 2.728 16.307
4.766 4.368 0.761
3.885 5.254 10.003
5.100 1.024 0.218
4.220 2.184 9.460
-1.202 0.916 15.477
-0.321 2.291 6.235
-1.108 3.487 15.525
-0.228 6.136 6.283
1.555 1.075 4.782
0.675 2.133 14.024
1.234 0.399 16.007
2.115 2.809 6.765
2.484 3.606 11.719
3.365 6.016 2.477
3.924 4.282 4.461
3.043 5.340 13.703
4.826 0.279 12.201
5.707 2.928 2.959
4.920 4.124 12.249
5.800 5.499 3.007
```

Properties
VASP energy in eV per atom: -5.021

---

Below is a relaxed K3Mo2O4F5 crystal, with properties calculated at the PBE with a Hubbard U level.

```
K3Mo2O4F5
1.0
9.787 0.000 0.000
0.000 15.335 0.000
0.000 0.000 6.171
K Mo O F
12 8 16 20
Cartesian
0.654 1.656 0.000
1.236 6.248 3.086
1.509 12.231 3.086
3.384 4.563 0.000
3.658 13.915 0.000
4.240 9.324 3.086
5.547 6.011 3.086
6.129 1.420 0.000
6.402 10.772 0.000
8.278 3.104 3.086
8.551 9.088 3.086
9.133 13.679 0.000
0.543 10.298 0.000
2.276 0.474 3.086
2.618 8.141 0.000
4.350 2.631 3.086
5.437 12.705 3.086
7.169 7.194 0.000
7.511 14.861 3.086
9.243 5.037 0.000
0.914 1.531 3.086
1.407 9.058 1.294
1.407 9.058 4.877
1.587 11.689 0.000
3.306 4.021 3.086
3.486 1.390 1.792
3.486 1.390 4.380
3.979 9.199 0.000
5.807 6.136 0.000
6.301 13.945 1.792
6.301 13.945 4.380
6.480 11.314 3.086
8.200 3.646 0.000
8.379 6.278 1.294
8.379 6.278 4.877
8.873 13.804 3.086
0.684 4.207 1.422
0.684 4.207 4.749
1.194 6.430 0.000
1.554 14.604 1.554
1.554 14.604 4.617
3.340 6.936 1.532
3.340 6.936 4.640
3.700 14.098 3.086
4.209 11.875 1.664
4.209 11.875 4.508
5.577 3.460 1.664
5.577 3.460 4.508
6.087 1.237 3.086
6.447 8.399 1.532
6.447 8.399 4.640
8.233 0.731 1.554
8.233 0.731 4.617
8.593 8.905 0.000
9.103 11.128 1.422
9.103 11.128 4.749
```

Properties
VASP energy in eV per atom: -5.650

---

Below is a relaxed KRb2MoO3F3 crystal, with properties calculated at the PBE with a Hubbard U level.

```
KRb2MoO3F3
1.0
0.000 4.581 4.640
4.459 0.000 4.640
4.459 4.581 0.000
K Rb Mo O F
1 2 1 3 3
Cartesian
0.000 0.000 0.000
2.229 2.290 2.264
6.688 6.871 6.904
4.459 4.581 4.499
4.459 4.581 2.715
6.253 4.581 4.867
2.665 4.581 4.867
4.459 2.553 4.635
4.459 6.608 4.635
4.459 4.581 6.735
```

Properties
VASP energy in eV per atom: -5.306